Here is an optimized crystal structure of Li4Mn3Fe3P6O24 from Materials Project. Energies are from PBE with a Hubbard U.

E: -280.842 eV for the cell shown
Mass density: 3.25 Mg/m³
Formation energy from the elements: -2433.5 meV per atom
Volume: 474.6 Å³ per cell

a = 8.4897 Å, b = 8.5721 Å, c = 8.5920 Å
α = 62.87°, β = 63.09°, γ = 64.01°
Fractional coordinates of all 40 atoms:
Li 0.8493 0.2600 0.6438
Li 0.1484 0.7313 0.3447
Li 0.7347 0.3509 0.1437
Li 0.3506 0.1428 0.7344
Mn 0.6468 0.6468 0.6490
Mn 0.8553 0.8520 0.8503
Mn 0.3449 0.3481 0.3474
Fe 0.9961 0.9920 0.0063
Fe 0.1536 0.1521 0.1490
Fe 0.4968 0.5093 0.4999
P 0.2488 0.9403 0.5573
P 0.9479 0.5570 0.2431
P 0.5605 0.2500 0.9500
P 0.4506 0.7567 0.0464
P 0.0490 0.4368 0.7503
P 0.7538 0.0595 0.4536
O 0.0962 0.5463 0.3071
O 0.5371 0.3224 0.0952
O 0.3138 0.0894 0.5441
O 0.0819 0.9294 0.7449
O 0.1823 0.9997 0.3926
O 0.3916 0.7506 0.5679
O 0.9264 0.7451 0.0851
O 0.7629 0.5469 0.4014
O 0.6083 0.8312 0.9962
O 0.5746 0.3892 0.7522
O 0.2531 0.9097 0.0717
O 0.9840 0.6026 0.8091
O 0.0072 0.3934 0.1762
O 0.7552 0.1024 0.9292
O 0.4310 0.6108 0.2439
O 0.3982 0.1786 0.0052
O 0.2462 0.4261 0.6016
O 0.0791 0.2457 0.9111
O 0.6038 0.2520 0.4259
O 0.8151 0.0393 0.6081
O 0.9090 0.0784 0.2568
O 0.6941 0.8984 0.4977
O 0.4766 0.6894 0.8995
O 0.9081 0.4376 0.6851

Here is an optimized crystal structure of VOF from Materials Project. Energies are from PBE with a Hubbard U.

E: -129.091 eV for the cell shown
Mass density: 4.09 Mg/m³
Formation energy from the elements: -2805.9 meV per atom
Volume: 209.5 Å³ per cell

a = 3.1036 Å, b = 4.7542 Å, c = 14.1999 Å
α = 90.00°, β = 90.00°, γ = 90.00°
Fractional coordinates of all 18 atoms:
V 0.0000 0.7278 0.0003
V 0.0000 0.8268 0.3328
V 0.0000 0.7314 0.6670
V 0.5000 0.2686 0.1670
V 0.5000 0.2722 0.5003
V 0.5000 0.1732 0.8328
O 0.5000 0.9855 0.2652
O 0.5000 0.9182 0.9352
O 0.0000 0.0145 0.7652
O 0.0000 0.0818 0.4352
O 0.0000 0.4536 0.5674
O 0.5000 0.5464 0.0674
F 0.5000 0.9411 0.6016
F 0.0000 0.0589 0.1016
F 0.0000 0.4752 0.2349
F 0.0000 0.4157 0.8958
F 0.5000 0.5843 0.3958
F 0.5000 0.5248 0.7349

Here is an optimized crystal structure of FeOF from Materials Project. Energies are from PBE with a Hubbard U.

E: -72.183 eV for the cell shown
Mass density: 4.31 Mg/m³
Formation energy from the elements: -2039.4 meV per atom
Largest piezoelectric modulus: 1.4 C/m2
Volume: 139.9 Å³ per cell

a = 4.7689 Å, b = 4.7689 Å, c = 6.1524 Å
α = 90.00°, β = 90.00°, γ = 90.04°
Fractional coordinates of all 12 atoms:
Fe 0.0561 0.9858 0.7500
Fe 0.9858 0.0561 0.2500
Fe 0.4816 0.4816 0.5000
Fe 0.4816 0.4816 0.0000
O 0.1927 0.1927 0.5000
O 0.1927 0.1927 0.0000
O 0.6814 0.3225 0.2500
O 0.3225 0.6814 0.7500
F 0.7050 0.2905 0.7500
F 0.2905 0.7050 0.2500
F 0.8051 0.8051 0.5000
F 0.8051 0.8051 0.0000

Here is an optimized crystal structure of KFe2P2O11 from Materials Project. Energies are from PBE with a Hubbard U.

E: -415.905 eV for the cell shown
Mass density: 2.89 Mg/m³
Energy above the lowest structure with this stoichiometry: 77.4 meV/atom
Formation energy from the elements: -1684.7 meV per atom
Volume: 893.6 Å³ per cell

a = 9.9319 Å, b = 9.4192 Å, c = 12.1640 Å
α = 51.74°, β = 90.00°, γ = 90.00°
Fractional coordinates of all 64 atoms:
K 0.6909 0.6209 0.9873
K 0.8091 0.6209 0.4873
K 0.3091 0.3791 0.0127
K 0.1909 0.3791 0.5127
Fe 0.0523 0.0247 0.1008
Fe 0.4477 0.0247 0.6008
Fe 0.9477 0.9753 0.8992
Fe 0.5523 0.9753 0.3992
Fe 0.7489 0.2872 0.8969
Fe 0.7511 0.2872 0.3969
Fe 0.2511 0.7128 0.1031
Fe 0.2489 0.7128 0.6031
P 0.0314 0.3679 0.7834
P 0.4686 0.3679 0.2834
P 0.9686 0.6321 0.2166
P 0.5314 0.6321 0.7166
P 0.8215 0.1510 0.2122
P 0.6785 0.1510 0.7122
P 0.1785 0.8490 0.7878
P 0.3215 0.8490 0.2878
O 0.1010 0.2801 0.9261
O 0.3990 0.2801 0.4261
O 0.8990 0.7199 0.0739
O 0.6010 0.7199 0.5739
O 0.6163 0.4795 0.8413
O 0.8837 0.4795 0.3413
O 0.3837 0.5205 0.1587
O 0.1163 0.5205 0.6587
O 0.9879 0.7695 0.2480
O 0.5121 0.7695 0.7480
O 0.0121 0.2305 0.7520
O 0.4879 0.2305 0.2520
O 0.8922 0.4505 0.7759
O 0.6078 0.4505 0.2759
O 0.1078 0.5495 0.2241
O 0.3922 0.5495 0.7241
O 0.7590 0.2719 0.0640
O 0.7410 0.2719 0.5640
O 0.2410 0.7281 0.9360
O 0.2590 0.7281 0.4360
O 0.9650 0.0930 0.2040
O 0.5350 0.0930 0.7040
O 0.0350 0.9070 0.7960
O 0.4650 0.9070 0.2960
O 0.2321 0.0160 0.1829
O 0.2679 0.0160 0.6829
O 0.7679 0.9840 0.8171
O 0.7321 0.9840 0.3171
O 0.6637 0.2668 0.7619
O 0.8363 0.2668 0.2619
O 0.3363 0.7332 0.2381
O 0.1637 0.7332 0.7381
O 0.8758 0.0723 0.9867
O 0.6242 0.0723 0.4867
O 0.1242 0.9277 0.0133
O 0.3758 0.9277 0.5133
O 0.5824 0.0456 0.0480
O 0.9176 0.0456 0.5480
O 0.4176 0.9544 0.9520
O 0.0824 0.9544 0.4520
O 0.5936 0.8973 0.0742
O 0.9064 0.8973 0.5742
O 0.4064 0.1027 0.9258
O 0.0936 0.1027 0.4258

Here is an optimized crystal structure of LiMnP4O12 from Materials Project. Energies are from PBE with a Hubbard U.

E: -256.066 eV for the cell shown
Mass density: 2.92 Mg/m³
Energy above the lowest structure with this stoichiometry: 28.5 meV/atom
Formation energy from the elements: -2547.0 meV per atom
Volume: 430.4 Å³ per cell

a = 7.3268 Å, b = 7.3268 Å, c = 9.8893 Å
α = 66.31°, β = 66.31°, γ = 67.92°
Fractional coordinates of all 36 atoms:
Li 0.0000 0.5000 0.0000
Li 0.5000 0.0000 0.5000
Mn 0.5539 0.4461 0.2500
Mn 0.4461 0.5539 0.7500
P 0.7485 0.2298 0.9787
P 0.7923 0.8084 0.1986
P 0.1916 0.2077 0.3014
P 0.7702 0.2515 0.5213
P 0.2298 0.7485 0.4787
P 0.8084 0.7923 0.6986
P 0.2077 0.1916 0.8014
P 0.2515 0.7702 0.0213
O 0.7655 0.3107 0.0921
O 0.3091 0.1494 0.6510
O 0.3771 0.2218 0.3227
O 0.9639 0.1991 0.8493
O 0.7166 0.0034 0.0593
O 0.5798 0.3520 0.9036
O 0.9966 0.2834 0.4407
O 0.1494 0.3091 0.1510
O 0.3107 0.7655 0.5921
O 0.6480 0.4202 0.5964
O 0.7782 0.6229 0.1773
O 0.1991 0.9639 0.3493
O 0.8009 0.0361 0.6507
O 0.2218 0.3771 0.8227
O 0.3520 0.5798 0.4036
O 0.6893 0.2345 0.4079
O 0.8506 0.6909 0.8490
O 0.0034 0.7166 0.5593
O 0.4202 0.6480 0.0964
O 0.2834 0.9966 0.9407
O 0.0361 0.8009 0.1507
O 0.6229 0.7782 0.6773
O 0.6909 0.8506 0.3490
O 0.2345 0.6893 0.9079

Here is an optimized crystal structure of MgTi3V5O16 from Materials Project. Energies are from PBE with a Hubbard U.

E: -201.546 eV for the cell shown
Mass density: 3.95 Mg/m³
Energy above the lowest structure with this stoichiometry: 8.5 meV/atom
Formation energy from the elements: -2846.6 meV per atom
Volume: 285.6 Å³ per cell

a = 5.9571 Å, b = 5.9612 Å, c = 9.2359 Å
α = 89.52°, β = 91.06°, γ = 119.45°
Fractional coordinates of all 25 atoms:
Mg 0.3325 0.6625 0.8779
Ti 0.1331 0.8110 0.2059
Ti 0.1998 0.3392 0.2141
Ti 0.3210 0.1525 0.6898
V 0.3482 0.6696 0.4869
V 0.6635 0.8587 0.2118
V 0.6603 0.3227 0.9843
V 0.8318 0.1680 0.7048
V 0.8304 0.6601 0.7051
O 0.1793 0.8303 0.5959
O 0.0626 0.5382 0.3331
O 0.3298 0.6677 0.0931
O 0.0058 0.0076 0.3065
O 0.0080 0.0007 0.8034
O 0.1814 0.3481 0.5976
O 0.4908 0.9546 0.3285
O 0.4826 0.5254 0.3338
O 0.3380 0.1684 0.1017
O 0.6415 0.8212 0.5959
O 0.5190 0.4704 0.8450
O 0.5171 0.0366 0.8402
O 0.6553 0.3284 0.6006
O 0.8187 0.6646 0.1030
O 0.9573 0.4755 0.8429
O 0.8255 0.1850 0.0999

- The lowest formation energy from the elements belongs to which entry?
  MgTi3V5O16

- Which value of E does entry 2 give?
  -129.091 eV for the cell shown

- Which of these has the lowest volume?
  FeOF